Mn3Br | r2SCAN | optimized geometry

Output
ΔH_f (0 K)   296 meV per atom
Space group   I4/mmm

Structure (POSCAR):
```
Mn3Br
1.0
-1.971 1.971 4.599
1.971 -1.971 4.599
1.971 1.971 -4.599
Mn Br
3 1
direct
0.000 0.000 0.000
0.250 0.750 0.500
0.750 0.250 0.500
0.500 0.500 0.000
```